A:
A relaxed structure of MnAu4. Source: the Materials Project database, functional PBE.

Geometry as extended XYZ:
```
5
Lattice="1.499 0.866 11.390 -1.499 0.866 11.390 0.000 -1.731 11.390" Properties=species:S:1:pos:R:3 pbc="T T T"
Mn 0.000 0.000 0.000
Au 0.000 0.000 6.893
Au 0.000 0.000 13.482
Au 0.000 0.000 20.689
Au 0.000 0.000 27.278
```

calculated density	15775	kg/m³

***

B:
A relaxed structure of MnAu4. Source: the Materials Project database, functional PBE.

Geometry as extended XYZ:
```
5
Lattice="-3.274 3.274 2.031 3.274 -3.274 2.031 3.274 3.274 -2.031" Properties=species:S:1:pos:R:3 pbc="T T T"
Mn 0.000 0.000 0.000
Au 2.603 1.338 0.000
Au 1.936 -0.671 2.031
Au 1.338 3.945 0.000
Au 0.671 1.936 2.031
```

calculated density	16069	kg/m³

***

Q: Which of them is the most stable? A: B.

***

A:
A relaxed structure of Nb3Au2. Source: the Materials Project database, functional PBE.

Geometry as extended XYZ:
```
20
Lattice="7.137 0.000 0.000 0.000 7.137 0.000 0.000 0.000 7.137" Properties=species:S:1:pos:R:3 pbc="T T T"
Nb 0.416 0.892 5.768
Nb 0.892 5.768 0.416
Nb 1.368 3.984 2.676
Nb 2.200 3.153 6.245
Nb 2.676 1.368 3.984
Nb 3.153 6.245 2.200
Nb 3.984 2.676 1.368
Nb 4.460 4.937 6.721
Nb 4.937 6.721 4.460
Nb 5.768 0.416 0.892
Nb 6.245 2.200 3.153
Nb 6.721 4.460 4.937
Au 0.360 6.777 3.208
Au 1.424 1.424 1.424
Au 2.144 5.712 4.992
Au 3.208 0.360 6.777
Au 3.928 3.928 3.928
Au 4.992 2.144 5.712
Au 5.712 4.992 2.144
Au 6.777 3.208 0.360
```

calculated density	12292	kg/m³

***

B:
A relaxed structure of Nb3Au2. Source: the Materials Project database, functional PBE.

Geometry as extended XYZ:
```
5
Lattice="-1.714 1.714 7.711 1.714 -1.714 7.711 1.714 1.714 -7.711" Properties=species:S:1:pos:R:3 pbc="T T T"
Nb 0.000 0.000 0.000
Nb 0.000 0.000 6.182
Nb 0.000 0.000 9.239
Au 0.000 0.000 3.071
Au 0.000 0.000 12.350
```

calculated density	12332	kg/m³

***

Q: Which of them is the most stable? A: B.

***

A:
A relaxed structure of Nb3Au. Source: the Materials Project database, functional PBE.

Geometry as extended XYZ:
```
4
Lattice="1.756 -2.214 0.000 1.756 2.214 0.000 0.000 0.000 9.315" Properties=species:S:1:pos:R:3 pbc="T T T"
Nb 0.000 0.000 0.000
Nb 1.756 0.000 2.335
Nb 1.756 0.000 6.980
Au 0.000 0.000 4.657
```

calculated density	10907	kg/m³

***

B:
A relaxed structure of Nb3Au. Source: the Materials Project database, functional PBE.

Geometry as extended XYZ:
```
8
Lattice="5.256 0.000 0.000 0.000 5.256 0.000 0.000 0.000 5.256" Properties=species:S:1:pos:R:3 pbc="T T T"
Nb 0.000 1.314 2.628
Nb 0.000 3.942 2.628
Nb 1.314 2.628 0.000
Nb 2.628 0.000 1.314
Nb 2.628 0.000 3.942
Nb 3.942 2.628 0.000
Au 0.000 0.000 0.000
Au 2.628 2.628 2.628
```

calculated density	10878	kg/m³

***

Q: Which of them is the most stable? A: A.

***

A:
A relaxed structure of PAuO4. Source: the Materials Project database, functional PBE.

Geometry as extended XYZ:
```
12
Lattice="3.879 -3.067 0.000 3.879 3.067 0.000 -1.217 0.000 7.683" Properties=species:S:1:pos:R:3 pbc="T T T"
P 2.966 2.616 5.762
P 3.574 -2.616 1.921
Au 1.939 1.533 0.000
Au 1.331 -1.533 3.841
O 0.371 0.377 6.065
O 2.612 1.737 7.001
O 0.980 -0.377 2.224
O 3.320 1.737 4.523
O 3.220 -1.737 3.160
O 5.561 0.377 5.458
O 3.929 -1.737 0.681
O 6.169 -0.377 1.617
```

calculated density	5305	kg/m³

***

B:
A relaxed structure of PAuO4. Source: the Materials Project database, functional PBE.

Geometry as extended XYZ:
```
12
Lattice="4.012 -2.867 0.000 4.012 2.867 0.000 -0.956 0.000 7.862" Properties=species:S:1:pos:R:3 pbc="T T T"
P 3.295 2.442 5.896
P 3.773 -2.442 1.965
Au 2.006 1.434 0.000
Au 1.528 -1.434 3.931
O 0.563 0.407 6.198
O 2.927 1.552 7.123
O 1.041 -0.407 2.267
O 3.664 1.552 4.669
O 3.405 -1.552 3.192
O 6.028 0.407 5.595
O 4.142 -1.552 0.738
O 6.506 -0.407 1.664
```

calculated density	5360	kg/m³

***

Q: Which of them is the most stable? A: A.